[1]
Na10NbGa7P12O48 | PBE | optimized geometry

a b c (Å): 17.404 8.711 21.894
angles (deg): 89.98 89.96 120.04
Fractional positions:
O1 0.150 0.452 0.478
O2 0.650 0.848 0.977
P1 0.333 0.624 0.583
P2 0.688 0.333 0.084
Ga1 0.334 0.327 0.687
O3 0.250 0.855 0.078
P3 0.002 0.705 0.748
P4 0.500 0.295 0.249
O4 0.563 0.633 0.361
P5 0.308 0.657 0.917
P6 0.978 0.334 0.583
O5 0.730 0.293 0.028
P7 0.688 0.043 0.583
Na1 0.163 0.656 0.171
Na2 0.516 0.334 0.083
O6 0.439 0.376 0.640
O7 0.750 0.855 0.077
Na3 0.318 0.999 0.252
O8 0.740 0.313 0.745
O9 0.585 0.690 0.755
O10 0.228 0.292 0.027
P8 0.521 0.384 0.918
O11 0.678 0.500 0.078
O12 0.749 0.351 0.421
O13 0.072 0.644 0.078
O14 0.252 0.145 0.923
Na4 0.150 0.334 0.583
O15 0.682 0.489 0.358
O16 0.913 0.026 0.804
Na5 0.333 0.967 0.583
P9 0.833 0.043 0.083
O17 0.012 0.830 0.410
O18 0.762 0.830 0.756
O19 0.519 0.217 0.191
P10 0.808 0.657 0.917
Na6 0.833 0.699 0.083
O20 0.585 0.976 0.910
O21 0.677 0.854 0.578
P11 0.021 0.384 0.918
O22 0.594 0.023 0.589
O23 0.819 0.142 0.423
O24 0.150 0.848 0.977
Ga2 0.501 0.001 0.652
O25 0.085 0.976 0.910
O26 0.099 0.173 0.804
Na7 0.651 0.968 0.084
Na8 0.333 0.698 0.083
P12 0.478 0.333 0.584
O27 0.918 0.544 0.027
O28 0.228 0.165 0.527
O29 0.853 0.542 0.529
Nb1 0.501 0.002 0.857
O30 0.345 0.522 0.245
Ga3 0.164 0.661 0.315
Na9 0.500 0.011 0.496
O31 0.573 0.645 0.077
O32 0.591 0.967 0.191
O33 0.989 0.812 0.089
O34 0.927 0.357 0.922
P13 0.147 0.295 0.748
O35 0.072 0.500 0.577
O36 0.248 0.122 0.640
O37 0.913 0.801 0.304
P14 0.171 0.959 0.917
O38 0.755 0.635 0.858
O39 0.750 0.644 0.578
Na10 0.500 0.000 0.001
P15 0.810 0.958 0.418
Ga4 0.663 0.668 0.816
O40 0.564 0.494 0.861
Na11 0.016 0.699 0.583
O41 0.751 0.145 0.923
P16 0.352 0.002 0.748
Ga5 0.166 0.667 0.015
P17 0.852 0.002 0.748
O42 0.262 0.830 0.756
O43 0.158 0.835 0.255
P18 0.312 0.961 0.416
O44 0.486 0.800 0.803
Na12 0.351 0.668 0.414
O45 0.418 0.291 0.527
O46 0.489 0.811 0.089
P19 0.001 0.297 0.248
O47 0.918 0.291 0.527
P20 0.520 0.663 0.417
Na13 0.334 0.324 0.836
O48 0.255 0.635 0.858
P21 0.502 0.706 0.748
O49 0.738 0.171 0.245
O50 0.094 0.166 0.089
O51 0.091 0.969 0.189
O52 0.347 0.171 0.745
O53 0.274 0.843 0.474
Ga6 0.499 0.006 0.351
P22 0.647 0.997 0.250
Ga7 0.163 0.668 0.816
O54 0.240 0.166 0.245
O55 0.917 0.022 0.089
O56 0.914 0.526 0.745
O57 0.248 0.374 0.140
O58 0.938 0.502 0.140
O59 0.578 0.704 0.476
O60 0.746 0.373 0.142
O61 0.812 0.121 0.140
Ga8 0.834 0.328 0.686
O62 0.986 0.800 0.803
Na14 0.000 0.999 0.500
O63 0.599 0.173 0.804
Na15 0.516 0.699 0.583
O64 0.821 0.497 0.922
O65 0.426 0.501 0.423
O66 0.314 0.119 0.142
O67 0.585 0.476 0.256
Na16 0.816 0.633 0.751
Ga9 0.001 0.001 0.652
P23 0.671 0.959 0.917
O68 0.414 0.306 0.243
Ga10 0.666 0.667 0.015
P24 0.647 0.295 0.748
Na17 0.842 0.340 0.333
O69 0.321 0.497 0.922
O70 0.414 0.526 0.745
O71 0.584 0.186 0.411
O72 0.751 0.873 0.363
Na18 0.150 0.967 0.083
Na19 0.316 0.633 0.752
O73 0.085 0.690 0.755
Ga11 0.665 0.670 0.315
Na20 0.834 0.324 0.836
Ga12 0.166 0.669 0.514
O74 0.092 0.216 0.689
O75 0.893 0.818 0.189
P25 0.833 0.624 0.584
O76 0.178 0.500 0.077
O77 0.075 0.700 0.477
Ga13 0.000 0.002 0.152
O78 0.489 0.167 0.590
Ga14 0.666 0.662 0.514
O79 0.315 0.507 0.641
O80 0.512 0.195 0.910
O81 0.321 0.144 0.422
O82 0.240 0.314 0.745
P26 0.333 0.044 0.084
O83 0.749 0.125 0.639
O84 0.250 0.645 0.578
O85 0.413 0.026 0.804
O86 0.065 0.634 0.361
P27 0.188 0.333 0.083
Ga15 0.834 0.334 0.980
O87 0.814 0.509 0.642
Na21 0.662 0.667 0.671
O88 0.844 0.521 0.245
O89 0.186 0.499 0.363
O90 0.989 0.167 0.589
O91 0.939 0.376 0.640
O92 0.016 0.216 0.189
Na22 0.016 0.334 0.083
Ga16 0.333 0.324 0.480
O93 0.410 0.789 0.309
P28 0.169 0.380 0.418
O94 0.573 0.500 0.577
O95 0.272 0.698 0.975
Na23 0.650 0.334 0.582
Na24 0.666 0.677 0.171
O96 0.915 0.306 0.246
O97 0.854 0.164 0.027
P29 0.021 0.659 0.417
Na25 0.666 0.034 0.415
O98 0.262 0.694 0.256
Na26 0.000 0.000 0.001
O99 0.439 0.503 0.139
O100 0.656 0.832 0.256
O101 0.592 0.216 0.689
O102 0.988 0.173 0.304
O103 0.892 0.962 0.691
P30 0.978 0.623 0.083
P31 0.478 0.623 0.083
P32 0.852 0.705 0.247
O104 0.772 0.698 0.975
O105 0.403 0.830 0.910
O106 0.847 0.171 0.745
Na27 0.162 0.667 0.671
O107 0.393 0.824 0.193
O108 0.353 0.165 0.028
O109 0.726 0.158 0.525
O110 0.576 0.453 0.977
Nb2 0.000 0.999 0.354
P33 0.188 0.044 0.583
O111 0.252 0.363 0.423
O112 0.606 0.036 0.307
O113 0.064 0.494 0.861
O114 0.016 0.816 0.689
O115 0.904 0.976 0.411
O116 0.516 0.816 0.689
O117 0.094 0.022 0.589
O118 0.417 0.812 0.589
Nb3 0.001 0.002 0.857
P34 0.667 0.375 0.416
O119 0.903 0.830 0.910
O120 0.417 0.022 0.089
O121 0.158 0.481 0.755
Ga17 0.836 0.341 0.480
O122 0.427 0.357 0.923
O123 0.917 0.813 0.589
O124 0.099 0.025 0.304
O125 0.256 0.875 0.358
O126 0.076 0.452 0.977
O127 0.651 0.452 0.476
O128 0.085 0.192 0.411
O129 0.352 0.544 0.526
P35 0.353 0.705 0.251
Ga18 0.500 0.998 0.153
Ga19 0.333 0.334 0.980
P36 0.148 0.999 0.247
O130 0.594 0.166 0.089
O131 0.184 0.873 0.861
O132 0.178 0.856 0.577
Na28 0.335 0.335 0.333
O133 0.511 0.833 0.412
O134 0.774 0.849 0.478
O135 0.760 0.684 0.255
Ga20 0.836 0.329 0.187
Na29 0.833 0.968 0.583
O136 0.084 0.477 0.256
O137 0.418 0.545 0.027
O138 0.480 0.170 0.304
Na30 0.683 0.364 0.252
O139 0.404 0.972 0.411
Ga21 0.334 0.343 0.186
O140 0.658 0.481 0.755
O141 0.392 0.962 0.691
O142 0.684 0.873 0.861
O143 0.928 0.498 0.422
O144 0.012 0.194 0.910

Computed properties:
The calculation puts the MP2020-corrected energy at -7.047 eV/atom. The energy comes out at -6.62 eV per atom. As for the symmetry: P1. The formation energy comes out at -2599 meV/atom.

---

[2]
Ta2PdS6 | PBE | optimized geometry

a b c (Å): 6.995 6.995 10.656
angles (deg): 59.62 59.62 27.21
Fractional positions:
S1 0.203 0.203 0.865
S2 0.024 0.024 0.764
S3 0.976 0.976 0.236
S4 0.328 0.328 0.535
S5 0.672 0.672 0.465
Pd1 0.000 0.000 0.000
Ta1 0.319 0.319 0.295
S6 0.797 0.797 0.135
Ta2 0.681 0.681 0.705

Computed properties:
The calculation puts the MP2020-corrected energy at -7.143 eV/atom. The energy comes out at -6.81 eV per atom. As for the symmetry: C2/m. The formation energy comes out at -1175 meV/atom.

---

[3]
CaB2H4 | PBE | optimized geometry

a b c (Å): 7.918 7.918 9.230
angles (deg): 124.61 124.61 71.07
Fractional positions:
H1 0.855 0.810 0.444
H2 0.871 0.333 0.269
Ca1 0.125 0.375 0.250
B1 0.471 0.524 0.585
Ca2 0.125 0.875 0.250
Ca3 0.625 0.875 0.750
H3 0.397 0.936 0.269
H4 0.883 0.338 0.944
H5 0.064 0.603 0.731
H6 0.186 0.147 0.769
B2 0.774 0.221 0.085
H7 0.367 0.412 0.556
B3 0.476 0.529 0.415
B4 0.136 0.689 0.915
B5 0.779 0.226 0.915
H8 0.190 0.145 0.556
H9 0.379 0.417 0.231
B6 0.311 0.864 0.085
H10 0.853 0.814 0.231
Ca4 0.125 0.875 0.750
H11 0.662 0.117 0.056
B7 0.114 0.061 0.585
H12 0.667 0.129 0.731
B8 0.939 0.886 0.415
H13 0.395 0.940 0.056
H14 0.588 0.633 0.444
H15 0.060 0.605 0.944
H16 0.583 0.621 0.769

Computed properties:
The calculation puts the MP2020-corrected energy at -4.347 eV/atom. The energy comes out at -4.24 eV per atom. Its energy above the most stable polymorph in this dataset is 0.000 eV per atom. As for the symmetry: Fddd. The formation energy comes out at -214 meV/atom.

---

[4]
Na5TiNb3Si6O24 | PBE | optimized geometry

a b c (Å): 9.021 9.017 22.602
angles (deg): 90.27 89.81 120.19
Fractional positions:
Na1 0.969 0.296 0.415
O1 0.365 0.862 0.861
Na2 0.302 0.969 0.084
O2 0.352 0.852 0.577
Na3 0.340 0.668 0.165
O3 0.169 0.476 0.257
Si1 0.380 0.047 0.584
O4 0.840 0.807 0.590
O5 0.301 0.826 0.257
O6 0.641 0.495 0.923
O7 0.820 0.983 0.410
Si2 0.331 0.956 0.919
O8 0.529 0.833 0.474
Si3 0.629 0.956 0.417
Na4 0.369 0.364 0.248
O9 0.364 0.498 0.358
O10 0.140 0.507 0.576
Si4 0.992 0.284 0.251
O11 0.529 0.701 0.973
O12 0.699 0.529 0.528
O13 0.864 0.502 0.144
Nb1 0.339 0.667 0.521
O14 0.633 0.140 0.140
Nb2 0.332 0.661 0.022
O15 0.866 0.368 0.642
Nb3 0.333 0.670 0.813
O16 0.972 0.169 0.310
O17 0.308 0.477 0.756
O18 0.301 0.472 0.472
O19 0.487 0.317 0.744
O20 0.967 0.805 0.806
Nb4 0.337 0.670 0.312
O21 0.031 0.830 0.690
O22 0.829 0.520 0.744
Nb5 0.667 0.337 0.480
O23 0.478 0.177 0.244
O24 0.982 0.815 0.090
O25 0.168 0.473 0.973
O26 0.035 0.197 0.194
Nb6 0.668 0.339 0.980
O27 0.168 0.686 0.756
O28 0.304 0.838 0.976
Si5 0.044 0.377 0.917
O29 0.193 0.160 0.090
Nb7 0.994 0.000 0.146
Si6 0.709 0.004 0.750
Na5 0.994 0.999 0.498
O30 0.186 0.019 0.590
O31 0.699 0.177 0.743
Si7 0.000 0.710 0.748
O32 0.032 0.844 0.410
O33 0.833 0.528 0.027
Si8 0.953 0.620 0.086
O34 0.200 0.033 0.309
O35 0.831 0.034 0.808
O36 0.502 0.353 0.423
Nb8 0.006 0.001 0.854
O37 0.804 0.834 0.193
Si9 0.622 0.664 0.916
O38 0.161 0.974 0.910
O39 0.163 0.198 0.694
Na6 0.700 0.033 0.918
Na7 0.660 0.332 0.832
Ti1 0.996 0.996 0.351
O40 0.638 0.503 0.644
Na8 0.996 0.367 0.749
Ti2 0.666 0.328 0.186
O41 0.495 0.641 0.577
O42 0.851 0.351 0.922
Ti3 0.661 0.327 0.686
O43 0.857 0.491 0.423
O44 0.132 0.632 0.359
Na9 0.667 0.333 0.330
Si10 0.711 0.710 0.251
Si11 0.663 0.620 0.586
O45 0.147 0.648 0.077
O46 0.524 0.825 0.756
O47 0.836 0.304 0.525
O48 0.519 0.687 0.256
O49 0.641 0.144 0.423
O50 0.839 0.807 0.307
O51 0.504 0.638 0.857
Si12 0.952 0.331 0.585
Na10 0.339 0.673 0.666
O52 0.163 0.187 0.411
O53 0.692 0.521 0.245
O54 0.134 0.495 0.857
Na11 0.993 0.629 0.248
Si13 0.382 0.336 0.086
O55 0.831 0.316 0.244
O56 0.974 0.162 0.590
O57 0.165 0.700 0.475
O58 0.467 0.163 0.524
Si14 0.042 0.671 0.417
O59 0.360 0.504 0.077
Si15 0.333 0.376 0.416
Na12 0.032 0.698 0.584
Nb9 0.000 0.004 0.645
O60 0.196 0.167 0.807
Na13 0.000 0.000 0.001
O61 0.496 0.864 0.360
O62 0.498 0.363 0.144
O63 0.803 0.965 0.694
O64 0.018 0.185 0.910
O65 0.508 0.142 0.923
Si16 0.292 0.004 0.250
O66 0.807 0.841 0.910
O67 0.493 0.860 0.077
Si17 0.670 0.048 0.083
O68 0.838 0.026 0.090
O69 0.471 0.300 0.028
O70 0.504 0.142 0.641
Na14 0.636 0.630 0.748
O71 0.167 0.964 0.192
Si18 0.295 0.288 0.749
Na15 0.329 0.033 0.415
O72 0.696 0.162 0.024

Computed properties:
The calculation puts the MP2020-corrected energy at -8.042 eV/atom. The energy comes out at -7.62 eV per atom. As for the symmetry: P1. The formation energy comes out at -3014 meV/atom.

---

[5]
Na3InP2O8 | PBE | optimized geometry

a b c (Å): 5.187 5.187 7.131
angles (deg): 89.78 89.78 64.51
Fractional positions:
In1 0.000 0.000 0.000
O1 0.756 0.756 0.955
Na1 0.000 0.000 0.500
O2 0.318 0.776 0.779
Na2 0.312 0.312 0.716
O3 0.224 0.682 0.221
O4 0.776 0.318 0.779
P1 0.346 0.346 0.223
O5 0.682 0.224 0.221
P2 0.654 0.654 0.777
O6 0.244 0.244 0.045
O7 0.750 0.750 0.598
O8 0.250 0.250 0.402
Na3 0.688 0.688 0.284

Computed properties:
The calculation puts the MP2020-corrected energy at -6.633 eV/atom. The energy comes out at -6.24 eV per atom. As for the symmetry: C2/m. The formation energy comes out at -2552 meV/atom.

---

[6]
NdAu | PBE | optimized geometry

a b c (Å): 4.793 5.858 7.575
angles (deg): 90.00 90.00 90.00
Fractional positions:
Au1 0.250 0.654 0.042
Nd1 0.750 0.649 0.311
Au2 0.250 0.846 0.542
Nd2 0.250 0.351 0.689
Nd3 0.750 0.851 0.811
Nd4 0.250 0.149 0.189
Au3 0.750 0.154 0.458
Au4 0.750 0.346 0.958

Computed properties:
The energy comes out at -4.83 eV per atom. As for the symmetry: Pnma. The formation energy comes out at -808 meV/atom.

---

Please write out number 6 again, unchanged.
NdAu | PBE | optimized geometry

a b c (Å): 4.793 5.858 7.575
angles (deg): 90.00 90.00 90.00
Fractional positions:
Au1 0.250 0.654 0.042
Nd1 0.750 0.649 0.311
Au2 0.250 0.846 0.542
Nd2 0.250 0.351 0.689
Nd3 0.750 0.851 0.811
Nd4 0.250 0.149 0.189
Au3 0.750 0.154 0.458
Au4 0.750 0.346 0.958

Computed properties:
The energy comes out at -4.83 eV per atom. As for the symmetry: Pnma. The formation energy comes out at -808 meV/atom.